VASP calculation (PBE) on a relaxed structure of KYNb6Cl18.

a b c (Å): 10.185 10.185 10.185
angles (deg): 55.13 55.13 55.13
Sites, in units of the cell vectors:
Nb 0.086 0.202 0.851
Nb 0.799 0.150 0.913
Nb 0.150 0.913 0.799
Nb 0.913 0.799 0.150
Nb 0.202 0.851 0.086
Nb 0.851 0.086 0.202
Y 0.499 0.499 0.499
Cl 0.938 0.074 0.660
Cl 0.861 0.416 0.725
Cl 0.062 0.925 0.341
Cl 0.583 0.275 0.139
Cl 0.416 0.725 0.861
Cl 0.527 0.344 0.808
Cl 0.925 0.341 0.062
Cl 0.725 0.861 0.416
Cl 0.660 0.938 0.074
Cl 0.808 0.527 0.344
Cl 0.074 0.660 0.938
Cl 0.344 0.808 0.527
Cl 0.657 0.195 0.469
Cl 0.275 0.139 0.583
Cl 0.469 0.657 0.195
Cl 0.195 0.469 0.657
Cl 0.341 0.062 0.925
Cl 0.139 0.583 0.275
K 0.222 0.222 0.222

VASP calculation (PBE) on a relaxed structure of K2NdCl5.

a b c (Å): 8.163 8.771 13.140
angles (deg): 90.00 90.00 90.00
Sites, in units of the cell vectors:
Cl 0.845 0.041 0.084
Cl 0.655 0.459 0.584
Cl 0.655 0.041 0.584
Cl 0.639 0.250 0.332
Cl 0.674 0.750 0.300
Cl 0.174 0.250 0.200
Cl 0.139 0.750 0.168
Cl 0.081 0.250 0.489
Cl 0.419 0.250 0.989
Cl 0.845 0.459 0.084
Cl 0.919 0.750 0.511
Cl 0.155 0.541 0.916
Cl 0.861 0.250 0.832
Cl 0.581 0.750 0.011
Cl 0.345 0.959 0.416
Cl 0.361 0.750 0.668
Cl 0.826 0.750 0.800
Cl 0.326 0.250 0.700
Cl 0.155 0.959 0.916
Cl 0.345 0.541 0.416
Nd 0.576 0.750 0.504
Nd 0.924 0.750 0.004
Nd 0.424 0.250 0.496
Nd 0.076 0.250 0.996
K 0.532 0.500 0.826
K 0.032 0.500 0.674
K 0.532 0.000 0.826
K 0.968 0.000 0.326
K 0.468 0.000 0.174
K 0.968 0.500 0.326
K 0.032 0.000 0.674
K 0.468 0.500 0.174

VASP calculation (PBE) on a relaxed structure of K2RbNdCl6.

a b c (Å): 8.258 8.258 8.258
angles (deg): 60.00 60.00 60.00
Sites, in units of the cell vectors:
Cl 0.234 0.766 0.766
Cl 0.766 0.234 0.766
Cl 0.234 0.234 0.766
Cl 0.234 0.766 0.234
Cl 0.766 0.766 0.234
Cl 0.766 0.234 0.234
Nd 0.000 0.000 0.000
K 0.250 0.250 0.250
K 0.750 0.750 0.750
Rb 0.500 0.500 0.500

VASP calculation (PBE) on a relaxed structure of K3ClO.

a b c (Å): 5.224 5.231 5.234
angles (deg): 89.43 90.00 90.00
Sites, in units of the cell vectors:
Cl 0.500 0.498 0.497
K 0.000 0.969 0.517
K 0.000 0.500 0.042
K 0.500 0.032 0.002
O 0.000 0.000 0.015

VASP calculation (PBE) on a relaxed structure of K3ClO.

a b c (Å): 7.374 7.374 5.276
angles (deg): 90.00 90.00 90.05
Sites, in units of the cell vectors:
K 0.023 0.475 0.500
K 0.294 0.706 0.000
K 0.802 0.786 0.000
K 0.525 0.977 0.500
K 0.706 0.294 0.000
K 0.214 0.198 0.000
Cl 0.497 0.503 0.500
Cl 0.999 0.001 0.500
O 0.006 0.492 0.000
O 0.508 0.994 0.000

## Properties
**Piezoelectric modulus e_max**: 1.4 C/m2

VASP calculation (PBE) on a relaxed structure of K3ClO.

a b c (Å): 7.338 7.353 10.422
angles (deg): 90.00 90.00 90.00
Sites, in units of the cell vectors:
K 0.058 0.484 0.250
K 0.791 0.791 0.029
K 0.558 0.016 0.750
K 0.291 0.709 0.529
K 0.209 0.209 0.971
K 0.209 0.209 0.529
K 0.442 0.984 0.250
K 0.942 0.516 0.750
K 0.291 0.709 0.971
K 0.791 0.791 0.471
K 0.709 0.291 0.029
K 0.709 0.291 0.471
Cl 0.501 0.525 0.250
Cl 0.001 0.975 0.750
Cl 0.499 0.475 0.750
Cl 0.999 0.025 0.250
O 0.000 0.500 0.000
O 0.500 0.000 0.500
O 0.500 0.000 0.000
O 0.000 0.500 0.500

Here are the calculated energy of formation from the pure elements numbers, same order: -1.91; -2.55; -2.37; -1.51; -1.52; -1.53 (eV/atom).